First-principles (PBE-GGA) data for LaNdC4 after structural relaxation, as listed in Materials Project.

Values from the calculation:
Energy of formation from the pure elements ... -0.138 eV per atom
Relative energy among the computed polymorphs ... 0 meV/atom
Space group ... C2/m, No. 12
Calculated volume ... 16.57 Å³ per atom
Total energy ... -47.448 eV for the cell shown

abc: 4.2797 4.2797 7.6079
angles: 65.08 65.08 54.08
Atoms (fractional coordinates):
La 0.5000 0.5000 0.5000
Nd 0.0000 0.0000 0.0000
C 0.7984 0.7984 0.8032
C 0.3011 0.3011 0.2955
C 0.2016 0.2016 0.1968
C 0.6989 0.6989 0.7045



First-principles (PBE-GGA) data for LaNdC4 after structural relaxation, as listed in Materials Project.

Values from the calculation:
Energy of formation from the pure elements ... -0.134 eV per atom
Relative energy among the computed polymorphs ... 4 meV/atom
Space group ... P4/mmm, No. 123
Calculated volume ... 16.50 Å³ per atom
Total energy ... -47.426 eV for the cell shown

abc: 3.8948 3.8948 6.5262
angles: 90.00 90.00 90.00
Atoms (fractional coordinates):
La 0.5000 0.5000 0.5000
Nd 0.0000 0.0000 0.0000
C 0.0000 0.0000 0.5993
C 0.5000 0.5000 0.0993
C 0.5000 0.5000 0.9007
C 0.0000 0.0000 0.4007



First-principles (PBE-GGA) data for LaNiC2 after structural relaxation, as listed in Materials Project.

Values from the calculation:
Energy of formation from the pure elements ... -0.254 eV per atom
Space group ... Amm2, No. 38
Calculated volume ... 13.95 Å³ per atom
Total energy ... -30.189 eV for the cell shown

abc: 3.8273 3.8273 3.9776
angles: 90.00 90.00 106.74
Atoms (fractional coordinates):
La 0.9999 0.0001 0.0000
Ni 0.6126 0.3874 0.5000
C 0.4506 0.8482 0.5000
C 0.1518 0.5494 0.5000



First-principles (PBE-GGA) data for La2Ni5C3 after structural relaxation, as listed in Materials Project.

Values from the calculation:
Energy of formation from the pure elements ... -0.300 eV per atom
Space group ... P4/mbm, No. 127
Calculated volume ... 13.88 Å³ per atom
Total energy ... -138.918 eV for the cell shown

abc: 8.3105 8.3105 4.0187
angles: 90.00 90.00 90.00
Atoms (fractional coordinates):
La 0.3390 0.1610 0.0000
La 0.6610 0.8390 0.0000
La 0.1610 0.6610 0.0000
La 0.8390 0.3390 0.0000
Ni 0.9248 0.7874 0.5000
Ni 0.7126 0.5752 0.5000
Ni 0.4248 0.7126 0.5000
Ni 0.2874 0.4248 0.5000
Ni 0.5752 0.2874 0.5000
Ni 0.7874 0.0752 0.5000
Ni 0.0752 0.2126 0.5000
Ni 0.2126 0.9248 0.5000
Ni 0.5000 0.5000 0.0000
Ni 0.0000 0.0000 0.0000
C 0.4420 0.9420 0.5000
C 0.0580 0.4420 0.5000
C 0.9420 0.5580 0.5000
C 0.5000 0.5000 0.5000
C 0.5580 0.0580 0.5000
C 0.0000 0.0000 0.5000